Below is crystalline Li7Mn5O12 at its relaxed geometry, with properties calculated at the GGA+U level.

Cell and atoms, written as POSCAR:
```
Li7Mn5O12
1.0
-2.2252 -0.9402 -1.7551
-3.0977 -4.2397 6.1987
-6.4675 5.0410 5.4996
Li Mn O
7 5 12
Cartesian
-3.1617 0.3704 3.8102 Li
-6.4035 0.4310 7.8881 Li
0.0000 0.0000 0.0000 Li
-9.0174 0.1175 8.8300 Li
-2.7731 -0.2564 1.1132 Li
-5.8952 -0.0694 4.9716 Li
-4.3464 2.0504 1.8723 Li
-4.7736 2.6510 4.6322 Mn
-4.7917 -1.8497 7.0661 Mn
-1.5489 -2.1198 3.0994 Mn
-4.2781 -2.3999 4.1698 Mn
-7.5123 2.2611 5.7735 Mn
-7.2238 -0.5762 9.4676 O
-7.2527 3.8951 7.1090 O
-3.9859 -0.8568 5.5126 O
-3.5155 -1.4423 2.6899 O
-6.5615 -1.2912 6.4709 O
-6.7169 3.2094 4.2570 O
-2.3125 -3.0938 4.5894 O
-2.3415 1.3776 2.2307 O
-5.5793 1.6581 6.1857 O
-5.2290 1.1523 3.4724 O
-8.2749 1.3035 7.2534 O
-5.0735 -3.3482 5.6863 O
```

Output
For the electronic total energy, the calculation gives -152.41 eV/f.u. The energy relative to the elements comes out at -50.45 eV per formula unit. The energy above the most stable polymorph in this dataset comes out at 55 meV/atom. The density is 3.9 Mg/m³.



Below is crystalline MgCrCo2O6 at its relaxed geometry, with properties calculated at the GGA+U level.

Cell and atoms, written as POSCAR:
```
MgCrCo2O6
1.0
5.9785 -2.8948 -0.0742
-0.0002 -1.5098 2.4687
-3.3779 -4.1124 -2.5150
Mg Cr Co O
1 1 2 6
Cartesian
-0.8410 -4.8724 -1.2885 Mg
0.8773 -2.8345 -0.0419 Cr
5.7661 -2.9602 -0.1187 Co
1.9590 -5.6936 -0.0940 Co
-0.6674 -1.7859 0.5994 O
0.1160 -4.6131 0.5663 O
1.0428 -5.7037 -1.7961 O
1.6530 -2.5697 1.8160 O
2.4080 -3.9639 -0.7326 O
3.2305 -6.9236 -0.8466 O
```

Output
For the electronic total energy, the calculation gives -62.93 eV/f.u. The energy relative to the elements comes out at -17.17 eV per formula unit. The energy above the most stable polymorph in this dataset comes out at 0 meV/atom. The density is 4.5 Mg/m³.



Below is crystalline Fe4O5F3 at its relaxed geometry, with properties calculated at the GGA+U level.

Cell and atoms, written as POSCAR:
```
Fe4O5F3
1.0
3.2067 -3.5264 0.0000
3.2067 3.5264 0.0000
0.0000 0.0000 12.0978
Fe O F
8 10 6
Cartesian
3.2067 -3.4651 1.5530 Fe
3.2067 -3.4651 4.4959 Fe
3.2067 3.4651 7.6019 Fe
3.2067 3.4651 10.5448 Fe
3.2067 -0.2255 3.0244 Fe
3.2067 0.2255 9.0733 Fe
3.2067 0.0000 0.0000 Fe
3.2067 0.0000 6.0489 Fe
3.2067 2.2167 9.0733 O
1.9607 -0.0305 1.4384 O
1.9607 -0.0305 4.6104 O
1.9607 0.0305 7.4873 O
1.9607 0.0305 10.6593 O
4.4526 -0.0305 1.4384 O
4.4526 -0.0305 4.6104 O
4.4526 0.0305 7.4873 O
4.4526 0.0305 10.6593 O
3.2067 -2.2167 3.0244 O
3.2067 2.1456 3.0244 F
3.2067 2.1828 6.0296 F
3.2067 2.1828 0.0193 F
3.2067 -2.1828 6.0682 F
3.2067 -2.1456 9.0733 F
3.2067 -2.1828 12.0785 F
```

Output
For the electronic total energy, the calculation gives -72.69 eV/f.u. The energy relative to the elements comes out at -22.18 eV per formula unit. The energy above the most stable polymorph in this dataset comes out at 23 meV/atom. The density is 4.4 Mg/m³.



Below is crystalline Ba2NiF6 at its relaxed geometry, with properties calculated at the GGA+U level.

Cell and atoms, written as POSCAR:
```
Ba2NiF6
1.0
4.1317 0.0000 0.0000
0.0000 4.1317 0.0000
-2.0659 -2.0659 8.2534
Ba Ni F
2 1 6
Cartesian
2.0659 2.0659 5.7582 Ba
0.0000 0.0000 2.4952 Ba
2.0659 2.0659 0.0000 Ni
2.0659 2.0659 1.9623 F
0.0000 0.0000 6.2911 F
0.0000 2.0659 0.0000 F
2.0659 0.0000 4.1267 F
0.0000 2.0659 4.1267 F
2.0659 0.0000 0.0000 F
```

Output
For the electronic total energy, the calculation gives -47.53 eV/f.u. The energy relative to the elements comes out at -31.74 eV per formula unit. The density is 5.3 Mg/m³.



Below is crystalline CoPO4 at its relaxed geometry, with properties calculated at the GGA+U level.

Cell and atoms, written as POSCAR:
```
CoPO4
1.0
4.7674 0.0000 0.0000
0.0000 5.8220 0.0000
0.0000 0.0000 9.9585
Co P O
4 4 16
Cartesian
2.1183 4.3665 2.1826 Co
4.5021 1.4555 2.7966 Co
0.2654 4.3665 7.1619 Co
2.6491 1.4555 7.7758 Co
1.9680 1.4555 0.9496 P
4.3517 4.3665 4.0296 P
0.4157 1.4555 5.9289 P
2.7995 4.3665 9.0088 P
3.1692 4.3665 0.5334 O
3.4833 1.4555 1.1467 O
1.2644 0.2535 1.7064 O
1.2644 2.6575 1.7064 O
3.6481 3.1645 3.2728 O
3.6481 5.5685 3.2728 O
1.0996 4.3665 3.8325 O
0.7855 1.4555 4.4458 O
3.9819 4.3665 5.5126 O
3.6678 1.4555 6.1260 O
1.1194 0.2535 6.6856 O
1.1194 2.6575 6.6856 O
3.5031 3.1645 8.2520 O
3.5031 5.5685 8.2520 O
1.2841 4.3665 8.8117 O
1.5982 1.4555 9.4250 O
```

Output
For the electronic total energy, the calculation gives -39.98 eV/f.u. The energy relative to the elements comes out at -12.05 eV per formula unit. The density is 3.7 Mg/m³.



Below is crystalline V3O8 at its relaxed geometry, with properties calculated at the GGA+U level.

Cell and atoms, written as POSCAR:
```
V3O8
1.0
-9.2365 -0.9282 3.2651
-8.5331 -3.7132 3.1990
1.3972 0.1073 10.3422
V O
6 16
Cartesian
-13.7584 -3.7533 12.2557 V
-14.4510 -3.8307 7.0840 V
-1.9478 -0.7497 9.6897 V
-2.6595 -0.7514 4.5199 V
-7.5576 -3.4015 10.9558 V
-8.8412 -1.1391 5.8397 V
-8.4492 -2.4437 9.8863 O
-9.1834 -2.3564 4.7185 O
-7.2041 -2.1967 12.0813 O
-7.9456 -2.0807 6.9143 O
-15.0899 -4.1345 13.2238 O
-15.7929 -4.1707 8.0531 O
-0.5967 -0.3908 8.7358 O
-1.3107 -0.3831 3.5662 O
-5.1375 -1.4904 7.9348 O
-5.8382 -1.5357 2.7639 O
-10.5728 -3.0313 14.0116 O
-11.2848 -3.0319 8.8418 O
-11.7316 -3.3031 11.8306 O
-12.4582 -3.2456 6.6621 O
-3.9616 -1.2196 10.1058 O
-4.6503 -1.3126 4.9338 O
```

Output
For the electronic total energy, the calculation gives -78.35 eV/f.u. The energy relative to the elements comes out at -22.11 eV per formula unit. The energy above the most stable polymorph in this dataset comes out at 46 meV/atom. The density is 3.3 Mg/m³.